(a)
Density functional theory data (PBE+U) for a geometry-optimized Li3V3P8O29 structure.

Results
- Mass density: 2.51 g/cm³
- Space group: P1, No. 1

Geometry as POSCAR:
```
Li3V3P8O29
1.0
-0.9326 -7.9865 5.5203
-5.7688 1.2400 -7.7937
9.5449 -6.6514 -8.1443
Li V P O
6 6 16 58
Cartesian
3.0809 -10.6333 -10.9723
-1.1709 -3.7041 -9.4185
6.9130 -7.6825 -8.8948
2.2539 -3.2899 -5.6506
-0.2115 -2.6866 0.5853
-1.6635 -9.7596 -6.4201
2.9973 -12.2988 -5.0483
-0.1895 -1.0836 -5.3980
-1.3716 -5.5270 -3.3834
4.1627 -7.9194 -7.0224
6.5671 -9.4858 -2.9662
-3.7539 -3.9392 -7.4219
-4.3713 -5.3908 -4.6131
1.1319 -8.9611 -7.5869
0.8489 -5.0396 -11.2516
4.1273 -7.6487 -10.4016
-0.6176 -4.2689 -6.3632
-3.0728 -0.7517 -6.8169
-1.6147 -8.7412 -3.0868
-0.5523 -2.5177 -2.4931
3.3530 -10.9113 -7.9416
4.3832 -4.6648 -7.3393
5.8553 -12.6037 -3.5592
3.4579 -9.1364 -4.0454
-1.2648 -5.7480 -0.0312
2.0035 -8.4043 0.8583
1.6738 -4.4528 -2.8134
7.1925 -8.0324 -5.7949
3.2651 -9.1701 0.8807
0.5177 -8.5469 -8.9584
3.7095 -11.2962 -9.3223
-3.2594 -5.4794 -3.5459
-3.9453 -4.2668 -5.6365
2.7256 -8.3619 -10.4561
0.8299 -6.4015 -10.4800
8.5798 -8.1651 -6.3005
-3.9719 -2.0144 -7.0631
-1.1981 -5.1817 -5.2209
2.3046 -7.9713 -7.2863
-1.8633 -3.7702 -7.2300
5.1622 -8.3219 -11.2307
0.3803 -4.9289 -7.2452
3.8778 -6.1382 -10.8259
-1.4077 -3.6634 -3.0724
4.5536 -7.5597 -8.8894
2.0594 -4.2128 -10.7720
-3.1699 -8.6246 -2.6763
-0.5213 -1.8846 -9.5629
-3.8024 0.4759 -6.4775
-1.9755 -1.1570 -5.7497
-0.0086 -3.0127 -5.6387
3.3514 -12.0409 -6.8777
3.6347 -4.5679 -8.6819
4.1580 -6.0920 -6.7459
1.8257 -10.3741 -7.8975
0.1148 -9.1100 -6.5298
2.5840 -4.1732 -3.9548
-1.2773 -7.3624 -3.7209
-0.8320 -8.8596 -1.7502
-0.4774 -1.3827 -3.5466
2.9256 -10.4109 -4.7633
4.8304 -12.2522 -4.6722
7.4532 -5.9258 -9.2820
4.0389 -3.6244 -6.3303
5.0192 -12.5944 -2.1621
0.8198 -9.2400 0.2910
-1.6278 -5.8577 -1.5461
4.2153 -9.7464 -7.3710
-1.0171 -7.2519 0.4168
-2.2118 -4.9984 0.8218
2.5057 -8.4080 -3.1804
4.7539 -9.6081 -3.2412
0.5145 -5.4426 -3.1077
4.0436 -8.2186 -5.2108
6.8448 -11.4181 -3.3797
1.5140 -8.0005 2.3511
-5.7453 -5.1627 -4.1235
2.0479 -7.0241 0.0997
0.1763 -5.0595 -0.0050
6.8074 -9.1478 -4.7848
6.1477 -7.9778 -6.9433
-1.0135 -2.0829 -1.1367
0.9499 -3.0703 -2.3481
2.4491 -4.8970 -1.5334
-0.4317 -4.2908 -11.1256
6.9592 -6.6466 -4.9882
```

(b)
Density functional theory data (PBE+U) for a geometry-optimized Li3V3P8O29 structure.

Results
- Mass density: 2.48 g/cm³
- Space group: Cc, No. 9

Geometry as POSCAR:
```
Li3V3P8O29
1.0
4.9007 8.4069 0.0000
-4.9007 8.4069 0.0000
0.0000 0.2847 14.3653
Li V P O
6 6 16 58
Cartesian
2.2011 9.4771 13.5385
-2.2011 9.3347 6.3559
2.9123 6.4544 0.8623
-2.9123 6.5968 8.0449
-4.1760 8.4757 0.1347
4.1760 8.6180 7.3173
0.6330 8.5939 10.7329
-0.6330 8.4516 3.5502
-2.1303 13.1767 3.6383
2.1245 3.8844 10.7554
2.1303 13.3191 10.8209
-2.1245 3.7420 3.5727
0.6524 14.3482 2.3402
-0.6524 14.4905 9.5229
2.9917 10.4717 9.4422
-0.0163 11.4111 12.4494
0.0163 11.2687 5.2667
2.2449 9.2184 2.2743
2.2829 7.7523 4.8522
-2.9917 10.3293 2.2596
2.9360 6.7371 12.1271
-2.2449 9.3608 9.4570
-2.2829 7.8947 12.0349
-0.0356 5.7909 9.0901
0.0356 5.6486 1.9075
-2.9360 6.5947 4.9444
0.6363 2.6266 4.8595
-0.6363 2.7689 12.0422
-3.6173 6.6444 6.2625
0.8727 14.1274 9.5602
3.6173 6.7867 13.4451
-0.8727 13.9851 2.3775
1.4918 13.0411 2.4755
0.7381 12.6390 11.7548
2.2732 11.8328 9.6306
3.8777 10.3710 13.2287
2.8044 10.6537 2.3691
-0.7381 12.4966 4.5722
-1.4918 13.1835 9.6581
1.4291 11.3111 4.5806
0.0107 11.5077 13.9251
-0.0107 11.3653 6.7424
0.7566 10.1581 11.9166
-2.2732 11.6904 2.4480
-1.4291 11.4535 11.7632
1.9206 9.3500 9.6618
2.8940 8.4117 3.4944
2.8163 8.4439 6.0333
2.5831 8.5019 0.9994
0.7084 9.2665 2.5254
-0.7566 10.0157 4.7339
1.9585 7.9495 11.9970
-0.7084 9.4089 9.7081
-2.8044 10.7960 9.5518
-0.9105 15.2914 10.9224
-0.9303 15.3682 8.3697
-3.8777 10.2286 6.0460
2.7460 6.2682 4.7334
0.7432 7.7943 4.6783
-1.9206 9.2076 2.4791
0.6813 7.0499 9.7727
-0.7432 7.9367 11.8609
-2.8163 8.5863 13.2160
-2.5831 8.6443 8.1821
-2.8940 8.5541 10.6770
-1.9585 7.8071 4.8143
1.4954 5.6904 2.4763
2.1555 5.4223 11.8436
-0.6813 6.9076 2.5900
0.0082 5.7085 0.4298
-0.0082 5.8509 7.6124
-1.4954 5.8328 9.6589
1.4447 3.9576 4.6793
0.7032 4.5713 9.7467
-2.7460 6.4106 11.9160
0.9105 15.1491 3.7397
0.9303 15.2258 1.1871
-2.1555 5.2799 4.6609
-0.7032 4.4290 2.5641
-1.4447 4.1000 11.8620
0.8743 3.1031 11.9575
-3.7601 10.1203 1.0217
0.9299 1.7642 3.5318
-0.8743 2.9607 4.7749
3.7601 10.2627 8.2044
-0.9299 1.9066 10.7144
```

Last place for stability: (a)

(a)
Density functional theory data (PBE+U) for a geometry-optimized Li3V3P8O29 structure.

Results
- Mass density: 2.47 g/cm³
- Space group: P1, No. 1

Geometry as POSCAR:
```
Li3V3P8O29
1.0
9.7561 0.0000 0.0000
4.8612 8.4588 0.0000
0.1967 0.0643 14.4074
Li V P O
6 6 16 58
Cartesian
7.1555 0.7965 6.5094
4.3699 5.8216 13.5869
2.7315 0.7783 13.5460
2.1072 1.9549 6.3798
12.1469 7.8478 0.7946
5.0268 7.9486 7.1936
12.6249 4.8368 10.7171
11.9029 3.7114 3.6451
5.5535 0.0639 3.6209
9.2404 8.4694 10.7819
7.7879 3.7424 10.8313
7.0151 4.7659 3.6253
7.8685 1.9501 2.2265
7.2832 0.8053 9.5515
5.7201 5.9204 9.5042
4.9903 2.8832 12.4803
4.9361 2.8226 5.3130
4.2295 5.7858 2.3216
12.7691 6.6270 4.9073
2.7085 0.8000 2.2674
12.1115 7.7265 12.1078
2.0748 1.9369 9.4626
10.5686 2.7052 12.0381
9.8700 5.6834 9.1208
9.7899 5.6826 1.9647
9.1059 2.5948 4.8688
7.4796 7.7389 4.8158
6.9537 6.5965 12.1212
8.7239 1.7419 6.0229
7.7984 2.2553 9.6759
12.4354 8.3825 13.3965
6.9013 0.7098 2.3850
7.0348 3.2371 2.5666
6.4124 2.9717 11.7961
6.5423 4.6218 9.6503
6.0820 6.5647 13.3197
5.7512 5.5825 2.4278
5.7338 1.5946 4.6670
5.7322 0.7915 9.7473
5.5971 4.0881 4.6624
5.0135 2.9247 13.9650
5.0384 2.6972 6.7908
4.2114 4.1114 11.8869
4.2341 0.8819 2.6088
4.3260 1.5691 11.9194
4.2035 5.5634 9.6830
13.5830 6.7878 3.5079
13.6663 6.8356 6.0614
3.7448 6.3669 1.0298
3.5351 4.4215 2.6366
3.4507 2.7676 4.7997
12.7345 6.3022 12.0330
2.8486 3.2781 9.6589
3.0639 0.7595 9.7055
12.7528 8.4980 10.8337
7.7095 0.1801 8.2677
2.0516 0.0569 5.9528
11.7071 7.7767 4.8387
12.0609 5.2457 4.7835
2.1035 2.2117 2.5270
11.3369 5.7315 9.7401
11.2881 4.0600 11.7811
1.3164 1.9598 13.2086
1.3961 1.8149 8.1466
10.7927 1.8356 10.6715
10.6376 2.9173 4.8927
10.4944 6.9678 2.5672
10.5887 7.6649 11.8105
10.5785 4.4788 2.6632
9.8788 5.6791 0.4899
9.8784 5.7191 7.6424
9.2025 4.4385 9.7826
9.0356 7.7916 4.6933
9.1306 6.9367 9.7677
9.0410 2.9698 12.0126
8.8737 1.7922 3.4931
8.5889 1.9413 0.9497
8.3152 3.9281 4.7207
8.3712 5.6029 2.6021
7.7798 5.3054 11.8746
7.9315 7.8126 12.1097
2.4452 0.2327 0.9336
6.9269 8.3407 3.4142
7.0167 6.2657 4.7899
5.9384 6.7328 8.2907
6.0521 6.8175 10.8026
```

(b)
Density functional theory data (PBE+U) for a geometry-optimized Li3V3P8O29 structure.

Results
- Mass density: 2.51 g/cm³
- Space group: P1, No. 1

Geometry as POSCAR:
```
Li3V3P8O29
1.0
9.7588 0.0000 0.0000
4.8749 8.4644 0.0000
0.0698 0.0350 14.1905
Li V P O
6 6 16 58
Cartesian
4.2682 5.7355 13.4774
2.8056 0.8294 13.4212
12.7785 6.6148 7.8146
2.0657 1.9258 6.1895
9.0990 2.6629 7.9055
9.4638 0.2379 0.1997
2.8235 4.8149 10.6522
11.8451 3.7086 3.4587
5.5566 0.0123 3.5471
9.1943 8.4526 10.6117
7.6243 3.7087 10.7215
7.0313 4.8061 3.5659
7.8620 1.9000 2.2817
7.1749 0.7531 9.3606
5.6411 5.8395 9.2754
4.8941 2.8486 12.3465
4.8683 2.8278 5.2249
4.2465 5.8220 2.2750
12.6671 6.5348 4.8189
2.6422 0.7252 2.2322
12.1005 7.7868 11.9870
2.0449 1.9656 9.3390
10.4807 2.6560 11.9046
9.8168 5.6249 8.9619
9.7483 5.6841 1.8443
9.0958 2.6824 4.8678
7.5325 7.7340 4.8153
6.8339 6.6062 11.9127
8.7002 2.0903 6.1706
7.7370 2.1966 9.3989
12.6297 8.4237 13.2032
6.8167 0.7494 2.3960
7.1359 3.2578 2.4285
6.3521 2.8179 11.7081
6.3452 4.4778 9.6467
5.9477 6.6186 13.1007
5.7580 5.5391 2.3895
5.5356 1.5519 4.5699
5.6249 0.8219 9.6391
5.6678 4.0210 4.5728
4.8786 2.9443 13.8236
4.8780 2.8046 6.7115
4.2376 4.1648 11.7310
4.1721 0.7252 2.4068
4.1379 1.5956 11.7893
4.0872 5.6110 9.4183
3.8992 6.7262 3.5544
13.4200 6.4521 6.0895
3.9096 6.5281 1.0053
3.4686 4.4818 2.4515
3.4028 2.8668 4.6616
12.6041 6.3013 11.8587
2.8694 3.2534 9.6430
2.9877 0.7482 9.4828
7.8070 0.0430 10.6613
12.3641 8.4414 8.1442
2.2618 0.0565 6.0044
11.7144 7.7504 4.7170
11.8550 5.2457 4.5181
2.1220 2.1884 2.4147
11.2802 5.6399 9.5989
11.2679 3.9900 11.7220
1.1335 1.8371 13.0707
1.2998 2.0856 8.0532
10.7510 1.8129 10.5396
10.6408 2.8908 4.7778
10.4893 6.9053 2.4826
10.5500 7.7986 11.7503
10.4848 4.3943 2.4638
9.7753 5.6411 0.3651
9.9057 5.6717 7.4881
9.0715 4.3801 9.5341
9.0639 7.6963 4.5735
9.1368 6.9057 9.6361
8.9675 2.9675 11.8174
8.7453 1.7222 3.6390
8.7339 1.7354 1.1018
8.3946 4.0365 4.5817
8.3223 5.6592 2.4916
7.6291 5.2598 11.7285
7.8538 7.7795 11.8936
2.1482 0.1644 0.9414
6.8857 8.3976 3.4705
6.9990 6.2785 4.7522
6.0607 6.4448 8.0157
5.9733 6.7746 10.5674
```

Last place for stability: (b)